VASP calculation (PBE) on a relaxed structure of Na3Mg2Nb4P9O36.

a = 8.7471 Å, b = 8.7471 Å, c = 22.8059 Å
α = 90.00°, β = 90.00°, γ = 120.00°
With the nearest neighbours (Å) after each atom.
Atoms (fractional coordinates):
Na: 0.0000 0.0000 0.0000  6 O 2.59-2.67
Na: 0.0000 0.0000 0.5000  6 O 2.59-2.67
Na: 0.3333 0.6667 0.1563  3 O 2.44
Na: 0.3333 0.6667 0.6563  3 O 2.44
Na: 0.6667 0.3333 0.3270  6 O 2.45-2.67
Na: 0.6667 0.3333 0.8270  6 O 2.45-2.67
Mg: 0.3333 0.6667 0.0197  6 O 2.04-2.05
Mg: 0.3333 0.6667 0.5197  6 O 2.04-2.05
Mg: 0.6667 0.3333 0.1869  6 O 2.00-2.10
Mg: 0.6667 0.3333 0.6869  6 O 2.00-2.10
Nb: 0.0000 0.0000 0.1418  6 O 1.98-2.04
Nb: 0.0000 0.0000 0.3536  6 O 1.97-2.00
Nb: 0.0000 0.0000 0.6418  6 O 1.98-2.04
Nb: 0.0000 0.0000 0.8536  6 O 1.97-2.00
Nb: 0.3333 0.6667 0.3114  6 O 2.00-2.01
Nb: 0.3333 0.6667 0.8114  6 O 2.00-2.01
Nb: 0.6667 0.3333 0.4819  6 O 1.95-2.09
Nb: 0.6667 0.3333 0.9819  6 O 1.95-2.09
P: 0.0458 0.3809 0.4179  4 O 1.49-1.57
P: 0.0458 0.6650 0.9179  4 O 1.49-1.57
P: 0.2916 0.0041 0.7489  4 O 1.49-1.57
P: 0.2916 0.2875 0.2489  4 O 1.49-1.57
P: 0.3350 0.3809 0.9179  4 O 1.49-1.57
P: 0.3350 0.9542 0.4179  4 O 1.49-1.57
P: 0.3826 0.0408 0.0860  4 O 1.49-1.61
P: 0.3826 0.3418 0.5860  4 O 1.49-1.61
P: 0.6191 0.6650 0.4179  4 O 1.49-1.57
P: 0.6191 0.9542 0.9179  4 O 1.49-1.57
P: 0.6582 0.0408 0.5860  4 O 1.49-1.61
P: 0.6582 0.6174 0.0860  4 O 1.49-1.61
P: 0.7125 0.0041 0.2489  4 O 1.49-1.57
P: 0.7125 0.7084 0.7489  4 O 1.49-1.57
P: 0.9592 0.3418 0.0860  4 O 1.49-1.61
P: 0.9592 0.6174 0.5860  4 O 1.49-1.61
P: 0.9959 0.2875 0.7489  4 O 1.49-1.57
P: 0.9959 0.7084 0.2489  4 O 1.49-1.57
O: 0.0189 0.1917 0.4061  1 P 1.57
O: 0.0189 0.8272 0.9061  1 P 1.57
O: 0.0303 0.2006 0.6949  1 P 1.55
O: 0.0303 0.8297 0.1949  1 P 1.55
O: 0.1338 0.4939 0.3612  1 P 1.57
O: 0.1338 0.6399 0.8612  1 P 1.57
O: 0.1421 0.4930 0.0756  1 P 1.50
O: 0.1421 0.6492 0.5756  1 P 1.50
O: 0.1562 0.4548 0.4716  1 P 1.49
O: 0.1562 0.7014 0.9716  1 P 1.49
O: 0.1703 0.2006 0.1949  1 P 1.55
O: 0.1697 0.4700 0.7577  1 P 1.57
O: 0.1697 0.6997 0.2577  1 P 1.57
O: 0.1703 0.9697 0.6949  1 P 1.55
O: 0.1728 0.1917 0.9061  1 P 1.57
O: 0.1728 0.9811 0.4061  1 P 1.57
O: 0.1927 0.0182 0.8041  1 P 1.57
O: 0.1927 0.1745 0.3041  1 P 1.57
O: 0.1948 0.0320 0.0900  1 P 1.61
O: 0.1948 0.1628 0.5900  1 P 1.61
O: 0.2986 0.4548 0.9716  1 P 1.49
O: 0.2986 0.8438 0.4716  1 P 1.49
O: 0.3003 0.4700 0.2577  1 P 1.57
O: 0.3003 0.8303 0.7577  1 P 1.57
O: 0.3508 0.4930 0.5756  1 P 1.50
O: 0.3508 0.8579 0.0756  1 P 1.50
O: 0.3601 0.4939 0.8612  1 P 1.57
O: 0.3601 0.8662 0.3612  1 P 1.57
O: 0.4672 0.1625 0.0287  1 P 1.61
O: 0.4672 0.3047 0.5287  1 P 1.61
O: 0.4711 0.1636 0.7462  1 P 1.49
O: 0.4711 0.3075 0.2462  1 P 1.49
O: 0.4881 0.1292 0.1395  1 P 1.49
O: 0.4881 0.3589 0.6395  1 P 1.49
O: 0.5000 0.1423 0.4217  1 P 1.56
O: 0.5000 0.3577 0.9217  1 P 1.56
O: 0.5061 0.6399 0.3612  1 P 1.57
O: 0.5061 0.8662 0.8612  1 P 1.57
O: 0.5070 0.6492 0.0756  1 P 1.50
O: 0.5070 0.8579 0.5756  1 P 1.50
O: 0.5300 0.6997 0.7577  1 P 1.57
O: 0.5300 0.8303 0.2577  1 P 1.57
O: 0.5452 0.7014 0.4716  1 P 1.49
O: 0.5452 0.8438 0.9716  1 P 1.49
O: 0.6411 0.1292 0.6395  1 P 1.49
O: 0.6411 0.5119 0.1395  1 P 1.49
O: 0.6423 0.1423 0.9217  1 P 1.56
O: 0.6423 0.5000 0.4217  1 P 1.56
O: 0.6925 0.1636 0.2462  1 P 1.49
O: 0.6925 0.5289 0.7462  1 P 1.49
O: 0.6953 0.1625 0.5287  1 P 1.61
O: 0.6953 0.5328 0.0287  1 P 1.61
O: 0.7994 0.8297 0.6949  1 P 1.55
O: 0.7994 0.9697 0.1949  1 P 1.55
O: 0.8083 0.8272 0.4061  1 P 1.57
O: 0.8083 0.9811 0.9061  1 P 1.57
O: 0.8255 0.0182 0.3041  1 P 1.57
O: 0.8255 0.8073 0.8041  1 P 1.57
O: 0.8364 0.3075 0.7462  1 P 1.49
O: 0.8364 0.5289 0.2462  1 P 1.49
O: 0.8372 0.0320 0.5900  1 P 1.61
O: 0.8372 0.8052 0.0900  1 P 1.61
O: 0.8375 0.3047 0.0287  1 P 1.61
O: 0.8375 0.5328 0.5287  1 P 1.61
O: 0.8577 0.3577 0.4217  1 P 1.56
O: 0.8577 0.5000 0.9217  1 P 1.56
O: 0.8708 0.3589 0.1395  1 P 1.49
O: 0.8708 0.5119 0.6395  1 P 1.49
O: 0.9680 0.1628 0.0900  1 P 1.61
O: 0.9680 0.8052 0.5900  1 P 1.61
O: 0.9818 0.1745 0.8041  1 P 1.57
O: 0.9818 0.8073 0.3041  1 P 1.57

Formation energy ... -2.86 eV/atom